Compound: Ba2PrIrO6
Source: Materials Project
Functional: PBE
Structure: relaxed

The structure in POSCAR format:
```
Ba2PrIrO6
1.0
0.0000 4.3147 4.3147
4.3147 0.0000 4.3147
4.3147 4.3147 0.0000
Ba Pr Ir O
2 1 1 6
direct
0.2500 0.2500 0.2500
0.7500 0.7500 0.7500
0.0000 0.0000 0.0000
0.5000 0.5000 0.5000
0.2700 0.2700 0.7300
0.2700 0.7300 0.2700
0.2700 0.7300 0.7300
0.7300 0.2700 0.2700
0.7300 0.2700 0.7300
0.7300 0.7300 0.2700
```

## Properties
calculated volume: 160.6 Å³/f.u.
electronic total energy: -6.98 eV/atom

---

Compound: Ba2PrIrO6
Source: Materials Project
Functional: PBE
Structure: relaxed

The structure in POSCAR format:
```
Ba2PrIrO6
1.0
6.1059 0.0000 0.0000
0.0000 6.0917 0.0000
-6.0979 0.0000 8.6159
Ba Pr Ir O
4 2 2 12
direct
0.2489 0.0124 0.2494
0.2489 0.4876 0.7494
0.7511 0.5124 0.2506
0.7511 0.9876 0.7506
0.0000 0.0000 0.5000
0.0000 0.5000 0.0000
0.5000 0.0000 0.0000
0.5000 0.5000 0.5000
0.2303 0.2114 0.9788
0.2303 0.2886 0.4788
0.2667 0.7488 0.4774
0.2667 0.7512 0.9774
0.3129 0.0043 0.7708
0.3129 0.4957 0.2708
0.6871 0.5043 0.7292
0.6871 0.9957 0.2292
0.7333 0.2488 0.0226
0.7333 0.2512 0.5226
0.7697 0.7114 0.5212
0.7697 0.7886 0.0213
```

## Properties
calculated volume: 160.2 Å³/f.u.
electronic total energy: -6.98 eV/atom

---

Compound: Ba3PrIr2O9
Source: Materials Project
Functional: PBE
Structure: relaxed

The structure in POSCAR format:
```
Ba3PrIr2O9
1.0
6.0278 0.0000 0.0000
-3.0139 5.2202 0.0000
0.0000 0.0000 15.0334
Ba Pr Ir O
6 2 4 18
direct
0.0000 0.0000 0.2500
0.0000 0.0000 0.7500
0.3333 0.6667 0.0980
0.3333 0.6667 0.4020
0.6667 0.3333 0.5980
0.6667 0.3333 0.9020
0.0000 0.0000 0.0000
0.0000 0.0000 0.5000
0.3333 0.6667 0.6665
0.3333 0.6667 0.8335
0.6667 0.3333 0.1665
0.6667 0.3333 0.3335
0.0184 0.5092 0.7500
0.1794 0.3588 0.5906
0.1794 0.3588 0.9094
0.1794 0.8206 0.5906
0.1794 0.8206 0.9094
0.3588 0.1794 0.0906
0.3588 0.1794 0.4094
0.4908 0.5092 0.7500
0.4908 0.9816 0.7500
0.5092 0.0184 0.2500
0.5092 0.4908 0.2500
0.6412 0.8206 0.5906
0.6412 0.8206 0.9094
0.8206 0.1794 0.0906
0.8206 0.1794 0.4094
0.8206 0.6412 0.0906
0.8206 0.6412 0.4094
0.9816 0.4908 0.2500
```

## Properties
calculated volume: 236.5 Å³/f.u.
electronic total energy: -6.91 eV/atom

---

Compound: Ba10Pr5IrRu4O30
Source: Materials Project
Functional: PBE
Structure: relaxed

The structure in POSCAR format:
```
Ba10Pr5IrRu4O30
1.0
5.2922 -3.0340 0.0000
5.2922 3.0340 0.0000
-3.4293 0.0000 25.0067
Ba Pr Ir Ru O
10 5 1 4 30
direct
0.0481 0.0481 0.1519
0.1523 0.1523 0.4491
0.2475 0.2475 0.7506
0.3524 0.3524 0.0499
0.4477 0.4477 0.3509
0.5523 0.5523 0.6491
0.6476 0.6476 0.9501
0.7525 0.7525 0.2494
0.8477 0.8477 0.5509
0.9519 0.9519 0.8481
0.1000 0.1000 0.3001
0.3001 0.3001 0.9001
0.5000 0.5000 0.5000
0.6999 0.6999 0.0999
0.9000 0.9000 0.6999
0.0000 0.0000 0.0000
0.2000 0.2000 0.6001
0.3999 0.3999 0.1998
0.6001 0.6001 0.8002
0.8000 0.8000 0.3999
0.0596 0.5217 0.6456
0.0619 0.0619 0.6456
0.0781 0.5403 0.1541
0.1220 0.6595 0.4456
0.1385 0.1385 0.9546
0.1403 0.6777 0.9546
0.2593 0.7222 0.2454
0.2616 0.2616 0.2454
0.2778 0.7407 0.7546
0.3223 0.8597 0.0454
0.3383 0.3383 0.5544
0.3405 0.8780 0.5544
0.4597 0.9219 0.8459
0.4619 0.4619 0.8458
0.4783 0.9404 0.3544
0.5217 0.0596 0.6456
0.5381 0.5381 0.1542
0.5403 0.0781 0.1541
0.6595 0.1220 0.4456
0.6617 0.6617 0.4456
0.6777 0.1403 0.9546
0.7222 0.2593 0.2454
0.7384 0.7384 0.7546
0.7407 0.2778 0.7546
0.8597 0.3223 0.0454
0.8615 0.8615 0.0454
0.8780 0.3405 0.5544
0.9219 0.4597 0.8459
0.9381 0.9381 0.3544
0.9404 0.4783 0.3544
```

## Properties
calculated volume: 803.0 Å³/f.u.
electronic total energy: -7.06 eV/atom

---

Compound: Ba3SmIrRuO9
Source: Materials Project
Functional: PBE
Structure: relaxed

The structure in POSCAR format:
```
Ba3SmIrRuO9
1.0
6.0037 0.0000 0.0000
-3.0019 5.1994 0.0000
0.0000 0.0000 14.8428
Ba Sm Ir Ru O
6 2 2 2 18
direct
0.0000 0.0000 0.0000
0.0000 0.0000 0.5000
0.3333 0.6667 0.1517
0.3333 0.6667 0.8471
0.6667 0.3333 0.3471
0.6667 0.3333 0.6517
0.0000 0.0000 0.2486
0.0000 0.0000 0.7486
0.3333 0.6667 0.5840
0.6667 0.3333 0.0840
0.3333 0.6667 0.4141
0.6667 0.3333 0.9141
0.0213 0.5107 0.4993
0.1777 0.3553 0.6613
0.1783 0.3567 0.3393
0.1783 0.8217 0.3393
0.1777 0.8223 0.6613
0.3553 0.1777 0.1613
0.3567 0.1783 0.8393
0.4893 0.5107 0.4993
0.4893 0.9787 0.4993
0.5107 0.0213 0.9993
0.5107 0.4893 0.9993
0.6433 0.8217 0.3393
0.6447 0.8223 0.6613
0.8223 0.1777 0.1613
0.8217 0.1783 0.8393
0.8217 0.6433 0.8393
0.8223 0.6447 0.1613
0.9787 0.4893 0.9993
```

## Properties
calculated volume: 231.7 Å³/f.u.
electronic total energy: -7.01 eV/atom

---

Compound: Ba3ZnIrRuO9
Source: Materials Project
Functional: PBE
Structure: relaxed

The structure in POSCAR format:
```
Ba3ZnIrRuO9
1.0
5.8542 0.0000 0.0000
-2.9271 5.0698 0.0000
0.0000 0.0000 14.3476
Ba Zn Ir Ru O
6 2 2 2 18
direct
0.0000 0.0000 0.2490
0.0000 0.0000 0.7510
0.3333 0.6667 0.5865
0.3333 0.6667 0.9150
0.6667 0.3333 0.0850
0.6667 0.3333 0.4135
0.0000 0.0000 0.0000
0.0000 0.0000 0.5000
0.3333 0.6667 0.1601
0.6667 0.3333 0.8399
0.3333 0.6667 0.3425
0.6667 0.3333 0.6575
0.0234 0.5117 0.2503
0.1721 0.3442 0.0840
0.1725 0.3449 0.4158
0.1721 0.8279 0.0840
0.1725 0.8275 0.4158
0.3442 0.1721 0.9160
0.3449 0.1725 0.5842
0.4883 0.5117 0.2503
0.4883 0.9766 0.2503
0.5117 0.0234 0.7497
0.5117 0.4883 0.7497
0.6551 0.8275 0.4158
0.6558 0.8279 0.0840
0.8275 0.1725 0.5842
0.8279 0.1721 0.9160
0.8275 0.6551 0.5842
0.8279 0.6558 0.9160
0.9766 0.4883 0.7497
```

## Properties
calculated volume: 212.9 Å³/f.u.
electronic total energy: -6.41 eV/atom

---

Compound: Ba2ScIrO6
Source: Materials Project
Functional: PBE
Structure: relaxed

The structure in POSCAR format:
```
Ba2ScIrO6
1.0
0.0000 4.1178 4.1178
4.1178 0.0000 4.1178
4.1178 4.1178 0.0000
Ba Sc Ir O
2 1 1 6
direct
0.2500 0.2500 0.2500
0.7500 0.7500 0.7500
0.0000 0.0000 0.0000
0.5000 0.5000 0.5000
0.2572 0.2572 0.7428
0.2572 0.7428 0.2572
0.2572 0.7428 0.7428
0.7428 0.2572 0.2572
0.7428 0.2572 0.7428
0.7428 0.7428 0.2572
```

## Properties
calculated volume: 139.6 Å³/f.u.
electronic total energy: -7.24 eV/atom

---

Compound: Ba3SmIr2O9
Source: Materials Project
Functional: PBE
Structure: relaxed

The structure in POSCAR format:
```
Ba3SmIr2O9
1.0
5.9954 0.0000 0.0000
-2.9977 5.1922 0.0000
0.0000 0.0000 14.8692
Ba Sm Ir O
6 2 4 18
direct
0.0000 0.0000 0.2500
0.0000 0.0000 0.7500
0.3333 0.6667 0.0969
0.3333 0.6667 0.4031
0.6667 0.3333 0.5969
0.6667 0.3333 0.9031
0.0000 0.0000 0.0000
0.0000 0.0000 0.5000
0.3333 0.6667 0.6653
0.3333 0.6667 0.8347
0.6667 0.3333 0.1653
0.6667 0.3333 0.3347
0.0185 0.5092 0.7500
0.1781 0.3561 0.5888
0.1781 0.3561 0.9112
0.1781 0.8219 0.5888
0.1781 0.8219 0.9112
0.3561 0.1781 0.0888
0.3561 0.1781 0.4112
0.4908 0.5092 0.7500
0.4908 0.9815 0.7500
0.5092 0.0185 0.2500
0.5092 0.4908 0.2500
0.6439 0.8219 0.5888
0.6439 0.8219 0.9112
0.8219 0.1781 0.0888
0.8219 0.1781 0.4112
0.8219 0.6439 0.0888
0.8219 0.6439 0.4112
0.9815 0.4908 0.2500
```

## Properties
calculated volume: 231.4 Å³/f.u.
electronic total energy: -6.94 eV/atom
energy above the most stable polymorph in this dataset: 0 meV per atom